First-principles (GGA-PBE) data for a relaxed HoLuIr2 crystal, as listed in the Materials Project.

- Electronic total energy: -7.62 eV/atom
- Space group: No. 225

Cell lengths 4.7880, 4.7880, 4.7880 Å; angles 60.00, 60.00, 60.00 degrees
Atoms (fractional coordinates):
Ho 0.5000 0.5000 0.5000
Lu 0.0000 0.0000 0.0000
Ir 0.2500 0.2500 0.2500
Ir 0.7500 0.7500 0.7500



First-principles (GGA-PBE) data for a relaxed Ho2NiIr crystal, as listed in the Materials Project.

- Electronic total energy: -6.63 eV/atom
- Space group: No. 225

Cell lengths 4.7979, 4.7979, 4.7979 Å; angles 60.00, 60.00, 60.00 degrees
Atoms (fractional coordinates):
Ho 0.2500 0.2500 0.2500
Ho 0.7500 0.7500 0.7500
Ni 0.0000 0.0000 0.0000
Ir 0.5000 0.5000 0.5000